No. 1
Here is crystalline CrP3H18C6S6O6 at its relaxed geometry from the Materials Project database. Energies are from GGA+U.

For the raw total energy, the calculation gives -5.387 eV/atom. The calculation puts the formation enthalpy at 0 K at -0.694 eV/atom. As for the symmetry: C2/c, No. 15.

abc: 9.2062 9.2062 13.2326
angles: 83.92 83.92 76.00
Closest atoms and distances in Å follow each position.
Positions (direct):
S  0.9106  0.2619  0.8137  1 P 2.00
S  0.2619  0.9106  0.3137  1 P 2.00
S  0.5473  0.2644  0.9180  1 P 2.00
S  0.4015  0.3668  0.7040  1 P 2.01
S  0.5985  0.6332  0.2960  1 P 2.01
S  0.4527  0.7356  0.0820  1 P 2.00
S  0.2644  0.5473  0.4180  1 P 2.00
S  0.6332  0.5985  0.7960  1 P 2.01
S  0.7356  0.4527  0.5820  1 P 2.00
S  0.3668  0.4015  0.2040  1 P 2.01
S  0.0894  0.7381  0.1863  1 P 2.00
S  0.7381  0.0894  0.6863  1 P 2.00
P  0.9309  0.0691  0.7500  2 O 1.61
P  0.3573  0.2928  0.8494  2 O 1.60-1.61
P  0.6427  0.7072  0.1506  2 O 1.60-1.61
P  0.7072  0.6427  0.6506  2 O 1.60-1.61
P  0.0691  0.9309  0.2500  2 O 1.61
P  0.2928  0.3573  0.3494  2 O 1.60-1.61
C  0.1020  0.1287  0.5860  3 H 1.09-1.10
C  0.9932  0.6216  0.6742  3 H 1.09-1.10
C  0.6216  0.9932  0.1742  3 H 1.09-1.10
C  0.2204  0.5503  0.9231  3 H 1.10
C  0.3784  0.0068  0.8258  3 H 1.09-1.10
C  0.1287  0.1020  0.0860  3 H 1.09-1.10
C  0.4497  0.7796  0.5769  3 H 1.10
C  0.8980  0.8713  0.4140  3 H 1.09-1.10
C  0.5503  0.2204  0.4231  3 H 1.10
C  0.0068  0.3784  0.3258  3 H 1.09-1.10
C  0.7796  0.4497  0.0769  3 H 1.10
C  0.8713  0.8980  0.9140  3 H 1.09-1.10
H  0.6003  0.1122  0.4630  1 C 1.10
H  0.6149  0.2363  0.3498  1 C 1.10
H  0.9693  0.4803  0.3663  1 C 1.09
H  0.4803  0.9693  0.8663  1 C 1.09
H  0.6916  0.0753  0.1577  1 C 1.10
H  0.1487  0.0096  0.0365  1 C 1.10
H  0.4520  0.6886  0.5290  1 C 1.10
H  0.0096  0.1487  0.5365  1 C 1.10
H  0.2071  0.0757  0.5437  1 C 1.10
H  0.0757  0.2071  0.0437  1 C 1.10
H  0.8513  0.9904  0.9635  1 C 1.10
H  0.9247  0.3084  0.3423  1 C 1.10
H  0.2363  0.6149  0.8498  1 C 1.10
H  0.7657  0.8878  0.8878  1 C 1.09
H  0.9789  0.5928  0.7567  1 C 1.10
H  0.2343  0.1122  0.1122  1 C 1.09
H  0.9243  0.7929  0.9563  1 C 1.10
H  0.5928  0.9789  0.2567  1 C 1.10
H  0.7637  0.3851  0.1502  1 C 1.10
H  0.3997  0.8878  0.5370  1 C 1.10
H  0.3084  0.9247  0.8423  1 C 1.10
H  0.0211  0.4072  0.2433  1 C 1.10
H  0.3851  0.7637  0.6502  1 C 1.10
H  0.0753  0.6916  0.6577  1 C 1.10
H  0.1122  0.6003  0.9630  1 C 1.10
H  0.5197  0.0307  0.1337  1 C 1.09
H  0.4072  0.0211  0.7433  1 C 1.10
H  0.9904  0.8513  0.4635  1 C 1.10
H  0.1122  0.2343  0.6122  1 C 1.09
H  0.8878  0.3997  0.0370  1 C 1.10
H  0.0307  0.5197  0.6337  1 C 1.09
H  0.8878  0.7657  0.3878  1 C 1.09
H  0.6886  0.4520  0.0290  1 C 1.10
H  0.5480  0.3114  0.4710  1 C 1.10
H  0.3114  0.5480  0.9710  1 C 1.10
H  0.7929  0.9243  0.4563  1 C 1.10
O  0.0243  0.0783  0.1728  1 C 1.45, 1 P 1.61
O  0.9217  0.9757  0.3272  1 C 1.45, 1 P 1.61
O  0.6014  0.7856  0.5933  1 C 1.45, 1 P 1.61
O  0.7856  0.6014  0.0933  1 C 1.45, 1 P 1.61
O  0.9757  0.9217  0.8272  1 C 1.45, 1 P 1.61
O  0.2889  0.1469  0.8622  1 C 1.45, 1 P 1.60
O  0.0783  0.0243  0.6728  1 C 1.45, 1 P 1.61
O  0.1469  0.2889  0.3622  1 C 1.45, 1 P 1.60
O  0.3986  0.2144  0.4067  1 C 1.45, 1 P 1.61
O  0.7111  0.8531  0.1378  1 C 1.45, 1 P 1.60
O  0.2144  0.3986  0.9067  1 C 1.45, 1 P 1.61
O  0.8531  0.7111  0.6378  1 C 1.45, 1 P 1.60
Cr  0.6606  0.3394  0.7500  6 S 2.45-2.47
Cr  0.3394  0.6606  0.2500  6 S 2.45-2.47

No. 2
Here is crystalline CrSb2H12C8O4 at its relaxed geometry from the Materials Project database. Energies are from GGA+U.

For the raw total energy, the calculation gives -5.785 eV/atom. The calculation puts the formation enthalpy at 0 K at -0.322 eV/atom. As for the symmetry: C2/m, No. 12.

abc: 8.8003 8.8003 10.3390
angles: 69.42 69.42 81.71
Closest atoms and distances in Å follow each position.
Positions (direct):
C  0.2715  0.9034  0.6920  3 H 1.10
C  0.8048  0.5727  0.9169  1 O 1.18
C  0.8475  0.8475  0.9445  1 O 1.17
C  0.9034  0.2715  0.6920  3 H 1.10
C  0.5400  0.2232  0.6849  3 H 1.09-1.10
C  0.1525  0.1525  0.0555  1 O 1.17
C  0.1952  0.4273  0.0831  1 O 1.18
C  0.7768  0.4600  0.3151  3 H 1.09-1.10
C  0.5727  0.8048  0.9169  1 O 1.18
C  0.0966  0.7285  0.3080  3 H 1.10
C  0.7275  0.7275  0.6768  1 O 1.18
C  0.4600  0.7768  0.3151  3 H 1.09-1.10
C  0.2232  0.5400  0.6849  3 H 1.09-1.10
C  0.4273  0.1952  0.0831  1 O 1.18
C  0.2725  0.2725  0.3232  1 O 1.18
C  0.7285  0.0966  0.3080  3 H 1.10
Sb  0.1020  0.7776  0.6570  2 C 2.17-2.18
Sb  0.2224  0.8980  0.3430  2 C 2.17-2.18
Sb  0.8980  0.2224  0.3430  2 C 2.17-2.18
Sb  0.7776  0.1020  0.6570  2 C 2.17-2.18
O  0.6838  0.6838  0.6005  1 C 1.18
O  0.1233  0.1233  0.9648  1 C 1.17
O  0.8767  0.8767  0.0352  1 C 1.17
O  0.8154  0.4361  0.9872  1 C 1.18
O  0.3162  0.3162  0.3995  1 C 1.18
O  0.5639  0.1846  0.0128  1 C 1.18
O  0.4361  0.8154  0.9872  1 C 1.18
O  0.1846  0.5639  0.0128  1 C 1.18
H  0.1531  0.4541  0.7885  1 C 1.09
H  0.7449  0.1373  0.1910  1 C 1.10
H  0.5459  0.8469  0.2115  1 C 1.09
H  0.5018  0.7690  0.4054  1 C 1.10
H  0.6543  0.4514  0.3140  1 C 1.10
H  0.8469  0.5459  0.2115  1 C 1.09
H  0.2551  0.8627  0.8090  1 C 1.10
H  0.4541  0.1531  0.7885  1 C 1.09
H  0.7528  0.9655  0.3462  1 C 1.10
H  0.3457  0.5486  0.6860  1 C 1.10
H  0.8756  0.3964  0.6317  1 C 1.10
H  0.6036  0.1244  0.3683  1 C 1.10
H  0.1373  0.7449  0.1910  1 C 1.10
H  0.9655  0.7528  0.3462  1 C 1.10
H  0.3964  0.8756  0.6317  1 C 1.10
H  0.2472  0.0345  0.6538  1 C 1.10
H  0.4982  0.2310  0.5946  1 C 1.10
H  0.0345  0.2472  0.6538  1 C 1.10
H  0.8627  0.2551  0.8090  1 C 1.10
H  0.5486  0.3457  0.6860  1 C 1.10
H  0.4514  0.6543  0.3140  1 C 1.10
H  0.1244  0.6036  0.3683  1 C 1.10
H  0.7690  0.5018  0.4054  1 C 1.10
H  0.2310  0.4982  0.5946  1 C 1.10
Cr  0.7886  0.7886  0.8087  4 C 1.85-1.90
Cr  0.2114  0.2114  0.1913  4 C 1.85-1.90

No. 3
Here is crystalline KCrC4O13 at its relaxed geometry from the Materials Project database. Energies are from GGA+U.

For the raw total energy, the calculation gives -6.584 eV/atom. The calculation puts the formation enthalpy at 0 K at -0.904 eV/atom. As for the symmetry: P2/c, No. 13.

abc: 5.3022 7.7701 14.5832
angles: 74.04 90.00 90.00
Closest atoms and distances in Å follow each position.
Positions (direct):
O  0.6466  0.7181  0.0234  1 C 1.30
O  0.1585  0.7102  0.1880  1 C 1.24
O  0.8415  0.7102  0.6880  1 C 1.24
O  0.4056  0.9061  0.6166  1 C 1.23
O  0.1585  0.2898  0.3120  1 C 1.24
O  0.1159  0.7807  0.8916  1 O 1.25
O  0.1458  0.5000  0.7500  2 O 2.30
O  0.5944  0.0939  0.3834  1 C 1.23
O  0.7332  0.3356  0.1195  1 O 1.25
O  0.3534  0.7181  0.5234  1 C 1.30
O  0.1159  0.2193  0.6084  1 O 1.25
O  0.7332  0.6644  0.3805  1 O 1.25
O  0.7458  0.5279  0.5960  1 C 1.29
O  0.2542  0.5279  0.0960  1 C 1.29
O  0.7458  0.4721  0.9040  1 C 1.29
O  0.2542  0.4721  0.4040  1 C 1.29
O  0.4056  0.0939  0.8834  1 C 1.23
O  0.3534  0.2819  0.9766  1 C 1.30
O  0.2668  0.3356  0.6195  1 O 1.25
O  0.8415  0.2898  0.8120  1 C 1.24
O  0.6466  0.2819  0.4766  1 C 1.30
O  0.2668  0.6644  0.8805  1 O 1.25
O  0.5944  0.9061  0.1166  1 C 1.23
O  0.8542  0.5000  0.2500  2 O 2.30
O  0.8841  0.2193  0.1084  1 O 1.25
O  0.8841  0.7807  0.3916  1 O 1.25
C  0.7085  0.6642  0.6287  2 O 1.24-1.29
C  0.5326  0.7777  0.0877  2 O 1.23-1.30
C  0.7085  0.3358  0.8713  2 O 1.24-1.29
C  0.2915  0.6642  0.1287  2 O 1.24-1.29
C  0.4674  0.7777  0.5877  2 O 1.23-1.30
C  0.4674  0.2223  0.9123  2 O 1.23-1.30
C  0.5326  0.2223  0.4123  2 O 1.23-1.30
C  0.2915  0.3358  0.3713  2 O 1.24-1.29
K  0.6950  0.0000  0.7500  4 O 2.73-2.76
K  0.3050  0.0000  0.2500  4 O 2.73-2.76
Cr  0.5000  0.5000  0.5000  4 O 1.97-1.98
Cr  0.5000  0.5000  0.0000  4 O 1.97-1.98

No. 4
Here is crystalline K2CrPCO7 at its relaxed geometry from the Materials Project database. Energies are from GGA+U.

For the raw total energy, the calculation gives -6.919 eV/atom. The calculation puts the formation enthalpy at 0 K at -2.390 eV/atom. As for the symmetry: P2_1/m, No. 11.

abc: 9.7251 6.6984 5.5859
angles: 90.00 89.55 90.00
Closest atoms and distances in Å follow each position.
Positions (direct):
O  0.3436  0.4390  0.7711  1 P 1.56
O  0.6564  0.9390  0.2290  1 P 1.56
O  0.8306  0.2500  0.0637  1 C 1.32
O  0.1693  0.7500  0.9363  1 C 1.32
O  0.9781  0.7500  0.7040  1 C 1.24
O  0.3436  0.0610  0.7711  1 P 1.56
O  0.8054  0.2500  0.4522  1 C 1.33
O  0.0219  0.2500  0.2957  1 C 1.24
O  0.5598  0.2500  0.8927  1 P 1.56
O  0.4800  0.2500  0.4555  1 P 1.57
O  0.4401  0.7500  0.1075  1 P 1.56
O  0.5201  0.7500  0.5446  1 P 1.57
O  0.6564  0.5610  0.2290  1 P 1.56
O  0.1947  0.7500  0.5477  1 C 1.33
K  0.2416  0.0243  0.2440  5 O 2.54-2.82
K  0.7584  0.9757  0.7560  5 O 2.54-2.83
K  0.7583  0.5243  0.7560  5 O 2.54-2.83
K  0.2416  0.4757  0.2439  5 O 2.54-2.82
C  0.1051  0.7500  0.7288  3 O 1.24-1.33
C  0.8949  0.2500  0.2711  3 O 1.24-1.33
P  0.5669  0.7500  0.2757  4 O 1.56-1.57
P  0.4332  0.2500  0.7244  4 O 1.56-1.57
Cr  0.6423  0.2500  0.2284  6 O 2.02-2.09
Cr  0.3577  0.7500  0.7716  6 O 2.02-2.09